<A>
This record from Materials Project describes a geometry-optimized K4MgMo2S2O6 structure. The functional is GGA+U. Values from VASP.

Geometry as Quantum ESPRESSO input:
```
&SYSTEM
  ibrav = 0, nat = 15, ntyp = 5
/
ATOMIC_SPECIES
K 39.10 K.upf
O 16.00 O.upf
Mo 95.94 Mo.upf
S 32.06 S.upf
Mg 24.30 Mg.upf
ATOMIC_POSITIONS angstrom
K -0.911 -3.027 -2.499
K -2.061 -0.123 -4.747
K -1.035 -3.292 -6.960
K -5.039 -3.419 -1.360
O -6.423 -3.341 -3.935
O -4.821 0.595 -5.882
O -0.856 -0.417 -2.263
O -2.336 -4.173 -0.601
O -5.661 -2.477 -6.658
O -2.407 -0.909 -7.399
Mo -5.365 -3.807 -5.313
Mo -1.886 0.221 -0.900
S -3.216 -3.176 -4.657
S -4.136 -0.354 -1.324
Mg -4.356 -1.039 -6.981
CELL_PARAMETERS angstrom
-0.521 -6.159 -0.080
-6.325 2.592 1.881
-0.568 -0.096 -8.118
```


<B>
This record from Materials Project describes a geometry-optimized K4MgMo2S2O6 structure. The functional is GGA+U. Values from VASP.

Geometry as Quantum ESPRESSO input:
```
&SYSTEM
  ibrav = 0, nat = 15, ntyp = 5
/
ATOMIC_SPECIES
K 39.10 K.upf
Mg 24.30 Mg.upf
S 32.06 S.upf
O 16.00 O.upf
Mo 95.94 Mo.upf
ATOMIC_POSITIONS angstrom
K -2.476 0.000 -4.803
K -5.754 -3.254 0.147
K -6.676 0.000 1.318
K -6.524 0.000 -3.082
Mg -2.519 -3.254 -1.242
S -4.369 0.000 -0.704
S -1.759 -3.254 -3.711
O -4.347 -3.254 -1.987
O -1.659 -1.727 -0.247
O -1.187 0.000 -2.511
O -4.649 1.706 -4.666
O -1.659 -4.782 -0.247
O -4.649 -1.706 -4.666
Mo -2.057 0.000 -0.918
Mo -4.106 -3.254 -3.883
CELL_PARAMETERS angstrom
0.000 -6.508 0.000
-7.249 3.254 2.866
0.829 0.000 -7.590
```


<C>
This record from Materials Project describes a geometry-optimized K4MgMo2S2O6 structure. The functional is GGA+U. Values from VASP.

Geometry as Quantum ESPRESSO input:
```
&SYSTEM
  ibrav = 0, nat = 15, ntyp = 5
/
ATOMIC_SPECIES
O 16.00 O.upf
Mg 24.30 Mg.upf
Mo 95.94 Mo.upf
K 39.10 K.upf
S 32.06 S.upf
ATOMIC_POSITIONS angstrom
O -4.707 1.630 -6.126
O -1.511 -1.614 -0.573
O -1.731 -5.104 -0.155
O -0.547 -5.944 -2.692
O -4.487 -1.860 -6.544
O -5.670 -2.701 -4.007
Mg -0.283 -4.973 -4.355
Mo -1.795 -0.004 -1.353
Mo -4.423 -3.248 -5.346
K -5.451 -0.133 0.491
K -0.767 -3.377 -7.190
K -2.632 -0.054 -6.218
K -3.586 -3.298 -0.481
S -2.227 -3.345 -4.451
S -3.990 -0.101 -2.248
CELL_PARAMETERS angstrom
0.000 -6.488 0.000
-5.653 3.244 2.011
-0.565 0.000 -8.710
```


Which is most stable, and by how much? <A>, by 5.5 kJ/mol of atoms.